No. 1
DFT (PBE) results for an optimized crystal structure of Ta6Si7Ni16.

Calculated formation energy   -1690.1 kJ/mol of formula units
Crystal system   cubic
Total energy   -7.556 eV per atom
SG   Fm-3m (225)

Geometry as extended XYZ:
```
29
Lattice="0.000 5.616 5.616 5.616 0.000 5.616 5.616 5.616 0.000" Properties=species:S:1:pos:R:3 pbc="T T T"
Ta 5.616 5.616 2.278
Ta 5.616 2.278 5.616
Ta 8.954 5.616 5.616
Ta 2.278 5.616 5.616
Ta 5.616 8.954 5.616
Ta 5.616 5.616 8.954
Si 2.808 2.808 0.000
Si 2.808 0.000 2.808
Si 5.616 2.808 2.808
Si 0.000 2.808 2.808
Si 2.808 5.616 2.808
Si 2.808 2.808 5.616
Si 5.616 5.616 5.616
Ni 6.927 4.306 4.306
Ni 1.878 1.878 1.878
Ni 3.739 3.739 1.878
Ni 3.739 1.878 3.739
Ni 4.306 4.306 4.306
Ni 6.927 6.927 4.306
Ni 6.927 4.306 6.927
Ni 1.878 3.739 3.739
Ni 9.355 7.494 7.494
Ni 4.306 6.927 4.306
Ni 4.306 4.306 6.927
Ni 6.927 6.927 6.927
Ni 7.494 9.355 7.494
Ni 7.494 7.494 9.355
Ni 9.355 9.355 9.355
Ni 4.306 6.927 6.927
```



No. 2
DFT (PBE) results for an optimized crystal structure of Ni3Se4.

Calculated formation energy   -369.9 kJ/mol of formula units
Crystal system   monoclinic
Total energy   -4.753 eV per atom
SG   C2/m (12)

Geometry as extended XYZ:
```
14
Lattice="11.941 0.000 0.000 0.000 3.674 0.000 -3.140 0.000 5.342" Properties=species:S:1:pos:R:3 pbc="T T T"
Ni 0.000 0.000 0.000
Ni 0.604 1.837 3.851
Ni 2.226 0.000 1.491
Ni 5.971 1.837 0.000
Ni 6.575 0.000 3.851
Ni 8.197 1.837 1.491
Se -0.024 0.000 2.446
Se -1.451 1.837 5.220
Se 4.281 0.000 0.122
Se 2.855 1.837 2.896
Se 5.946 1.837 2.446
Se 4.520 0.000 5.220
Se 10.252 1.837 0.122
Se 8.825 0.000 2.896
```



No. 3
DFT (PBE) results for an optimized crystal structure of Na3CaGaSiS2O12.

Calculated formation energy   -4565.3 kJ/mol of formula units
Size of the total moment   0.00 μB/atom
Crystal system   monoclinic
Total energy   -6.057 eV per atom
SG   Cc (9)

Geometry as extended XYZ:
```
120
Lattice="7.998 -4.634 0.000 7.998 4.634 0.000 -0.708 0.000 22.615" Properties=species:S:1:pos:R:3 pbc="T T T"
Na 7.644 3.372 11.308
Na 7.130 2.978 19.117
Na 2.346 0.036 13.245
Na 2.700 -0.036 1.937
Na 4.785 1.355 15.057
Na 8.306 2.918 3.966
Na 5.139 -1.355 3.750
Na 7.883 0.175 5.703
Na 10.943 1.735 0.304
Na 10.346 1.376 7.420
Na 7.530 -0.175 17.011
Na 7.484 -2.978 7.810
Na 9.992 -1.376 18.728
Na 13.262 0.102 9.455
Na 7.953 -2.918 15.273
Na 12.908 -0.102 20.763
Na 7.998 -3.372 0.000
Na 10.589 -1.735 11.611
Ca 2.504 0.015 5.346
Ca 2.150 -0.015 16.654
Ca 7.608 0.023 9.105
Ca 7.254 -0.023 20.413
Ca 12.983 0.084 12.874
Ca 13.337 -0.084 1.567
Ga 2.022 0.230 9.734
Ga 1.668 -0.230 21.042
Ga 8.428 0.235 2.212
Ga 8.074 -0.235 13.519
Ga 12.794 0.164 17.309
Ga 13.147 -0.164 6.001
Si 7.920 3.301 7.455
Si 7.398 2.832 22.577
Si 10.900 1.286 3.832
Si 7.752 -2.832 11.270
Si 10.547 -1.286 15.139
Si 7.566 -3.301 18.762
S 5.332 1.834 3.862
S 7.238 3.109 15.145
S 4.389 1.440 18.947
S 5.231 1.293 11.457
S 4.743 -1.440 7.640
S 10.186 1.845 18.986
S 5.585 -1.293 0.150
S 9.989 1.458 11.360
S 4.978 -1.834 15.169
S 10.343 -1.458 0.052
S 7.592 -3.109 3.838
S 10.540 -1.845 7.678
O 9.229 -3.715 11.293
O 6.904 3.909 0.082
O 5.020 2.779 11.522
O 6.680 3.725 13.922
O 5.190 2.623 2.640
O 5.476 2.738 5.072
O 6.364 3.451 16.330
O 8.586 4.076 8.850
O 3.508 0.989 20.070
O 4.168 0.931 3.980
O 3.881 0.979 17.642
O 8.610 3.642 15.273
O 8.835 3.588 6.168
O 3.897 0.641 11.295
O 8.875 3.715 22.601
O 7.355 2.019 21.207
O 6.122 1.086 10.303
O 5.790 0.969 19.031
O 5.876 0.778 12.710
O 7.242 1.617 15.048
O 6.585 1.021 3.840
O 7.857 1.693 7.635
O 8.329 1.842 1.324
O 10.068 2.941 11.351
O 3.544 -0.641 22.603
O 10.684 2.910 3.937
O 3.862 -0.989 8.763
O 3.814 -0.931 15.287
O 10.062 2.712 17.811
O 4.235 -0.979 6.334
O 10.302 2.699 20.250
O 9.032 1.150 12.528
O 6.229 -0.778 1.402
O 8.981 0.980 19.042
O 6.143 -0.969 7.723
O 9.407 0.942 10.110
O 5.769 -1.086 21.610
O 9.349 0.592 3.780
O 6.231 -1.021 15.147
O 4.836 -2.623 13.947
O 11.703 1.038 2.469
O 12.771 1.685 7.677
O 5.374 -2.779 0.214
O 11.289 0.816 11.534
O 11.402 0.996 18.955
O 5.122 -2.738 16.379
O 8.995 -0.592 15.088
O 7.596 -1.617 3.740
O 11.675 0.642 5.205
O 7.503 -1.693 18.942
O 9.334 -0.980 7.734
O 9.053 -0.942 21.418
O 9.386 -1.150 1.221
O 7.709 -2.019 9.899
O 7.975 -1.842 12.632
O 6.718 -3.451 5.023
O 11.321 -0.642 16.512
O 11.643 -0.816 0.226
O 7.033 -3.725 2.614
O 11.349 -1.038 13.776
O 6.550 -3.909 11.390
O 11.755 -0.996 7.647
O 14.088 0.500 18.629
O 8.481 -3.588 17.476
O 10.415 -2.712 6.503
O 8.963 -3.642 3.965
O 10.422 -2.941 0.044
O 14.442 -0.500 7.322
O 10.655 -2.699 8.942
O 10.330 -2.910 15.245
O 8.232 -4.076 20.158
O 12.417 -1.685 18.984
```